[1]
Computed, not measured: a relaxed Ni3P crystal at the PBE level of DFT.

Values from the calculation:
Calculated total energy in eV per atom: -6.129
Mass density in kg/m³: 7878
Calculated volume in Å³ per atom: 10.9
Space group: I-4, No. 82

a b c (Å): 6.685 6.685 6.685
angles (deg): 96.15 96.15 141.79
Sites, in units of the cell vectors:
Ni 0.080 0.029 0.608
Ni 0.112 0.448 0.605
Ni 0.147 0.338 0.966
Ni 0.371 0.181 0.034
Ni 0.421 0.471 0.392
Ni 0.493 0.888 0.335
Ni 0.529 0.920 0.949
Ni 0.552 0.158 0.665
Ni 0.662 0.629 0.809
Ni 0.819 0.853 0.191
Ni 0.842 0.507 0.395
Ni 0.971 0.579 0.051
P 0.064 0.733 0.760
P 0.267 0.028 0.331
P 0.697 0.936 0.669
P 0.972 0.303 0.240

---

[2]
Computed, not measured: a relaxed Rb2Te crystal at the PBE level of DFT.

Values from the calculation:
Energy with MP2020 corrections in eV/cell: -8.5
Excess energy over the best structure of this formula in the dataset in kcal/mol of atoms: 0.00
Mass density in kg/m³: 3108
Calculated volume in Å³ per atom: 53.2
Space group: Fm-3m, No. 225

a b c (Å): 6.087 6.087 6.087
angles (deg): 60.00 60.00 60.00
Sites, in units of the cell vectors:
Rb 0.250 0.250 0.250
Rb 0.750 0.750 0.750
Te 0.000 0.000 0.000

---

[3]
Computed, not measured: a relaxed MgSi2 crystal at the PBE level of DFT.

Values from the calculation:
Energy with MP2020 corrections in eV/cell: -47.6
Excess energy over the best structure of this formula in the dataset in kcal/mol of atoms: 2.36
Mass density in kg/m³: 2465
Calculated volume in Å³ per atom: 18.1
Space group: P1, No. 1

a b c (Å): 3.652 5.450 11.647
angles (deg): 84.08 83.64 70.67
Sites, in units of the cell vectors:
Mg 0.000 0.000 0.000
Mg 0.023 0.703 0.336
Mg 0.221 0.163 0.482
Mg 0.789 0.561 0.843
Si 0.121 0.041 0.767
Si 0.278 0.439 0.029
Si 0.380 0.061 0.193
Si 0.509 0.618 0.523
Si 0.523 0.291 0.678
Si 0.651 0.620 0.132
Si 0.745 0.251 0.295
Si 0.863 0.828 0.628